## Ti3C70Cl13 (PBE-GGA)

Data for a geometry-optimized Ti3C70Cl13 structure.

a = 10.3669 Å, b = 14.0148 Å, c = 16.9045 Å
α = 86.16°, β = 89.14°, γ = 79.54°
Positions (direct):
Ti  0.0718  0.7709  0.1313
Ti  0.9282  0.2291  0.8687
Ti  0.0737  0.7846  0.3631
Ti  0.9263  0.2154  0.6369
Ti  0.1887  0.3431  0.7369
Ti  0.8113  0.6569  0.2631
C  0.2644  0.0536  0.1393
C  0.7356  0.9464  0.8607
C  0.4012  0.2178  0.4946
C  0.5988  0.7822  0.5054
C  0.1486  0.2177  0.0955
C  0.8514  0.7823  0.9045
C  0.4702  0.1873  0.0099
C  0.5298  0.8127  0.9901
C  0.1755  0.4369  0.1976
C  0.8245  0.5631  0.8024
C  0.7797  0.1972  0.2063
C  0.2203  0.8028  0.7937
C  0.5886  0.2855  0.4651
C  0.4114  0.7145  0.5349
C  0.7419  0.3036  0.2035
C  0.2581  0.6964  0.7965
C  0.5229  0.4644  0.2218
C  0.4771  0.5356  0.7782
C  0.6958  0.0489  0.3759
C  0.3042  0.9511  0.6241
C  0.5631  0.4316  0.1457
C  0.4369  0.5684  0.8543
C  0.1152  0.1573  0.2257
C  0.8848  0.8427  0.7743
C  0.4886  0.0154  0.1120
C  0.5114  0.9846  0.8880
C  0.5916  0.1418  0.0415
C  0.4084  0.8582  0.9585
C  0.7392  0.2955  0.3517
C  0.2608  0.7045  0.6483
C  0.7172  0.1351  0.4135
C  0.2828  0.8649  0.5865
C  0.0996  0.2990  0.1429
C  0.9004  0.7010  0.8571
C  0.3724  0.3890  0.4420
C  0.6276  0.6110  0.5580
C  0.2435  0.3808  0.4123
C  0.7565  0.6192  0.5877
C  0.0967  0.3146  0.2898
C  0.9033  0.6854  0.7102
C  0.6241  0.1795  0.4675
C  0.3759  0.8205  0.5325
C  0.3630  0.0618  0.0789
C  0.6370  0.9382  0.9211
C  0.5321  0.0216  0.8079
C  0.4679  0.9784  0.1921
C  0.2453  0.3947  0.0698
C  0.7547  0.6053  0.9302
C  0.1265  0.2589  0.3628
C  0.8735  0.7411  0.6372
C  0.5854  0.0085  0.3938
C  0.4146  0.9915  0.6062
C  0.2935  0.3165  0.0241
C  0.7065  0.6835  0.9759
C  0.6799  0.1994  0.0721
C  0.3201  0.8006  0.9279
C  0.4846  0.0226  0.6683
C  0.5154  0.9774  0.3317
C  0.7907  0.1448  0.2817
C  0.2093  0.8552  0.7183
C  0.1964  0.2936  0.4253
C  0.8036  0.7064  0.5747
C  0.1472  0.3856  0.1304
C  0.8528  0.6144  0.8696
C  0.6238  0.9985  0.6515
C  0.3762  0.0015  0.3485
C  0.3588  0.0477  0.4212
C  0.6412  0.9523  0.5788
C  0.1632  0.1548  0.3654
C  0.8368  0.8452  0.6346
C  0.2916  0.4776  0.1791
C  0.7084  0.5224  0.8209
C  0.6101  0.4295  0.2854
C  0.3899  0.5705  0.7146
C  0.2229  0.4350  0.3372
C  0.7771  0.5650  0.6628
C  0.5091  0.1402  0.4863
C  0.4909  0.8598  0.5137
C  0.1592  0.1302  0.1474
C  0.8408  0.8698  0.8526
C  0.6448  0.3421  0.4085
C  0.3552  0.6579  0.5915
C  0.6444  0.3004  0.0695
C  0.3556  0.6996  0.9305
C  0.7444  0.1472  0.1417
C  0.2556  0.8528  0.8583
C  0.4693  0.4285  0.0845
C  0.5307  0.5715  0.9155
C  0.6814  0.0158  0.2328
C  0.3186  0.9842  0.7672
C  0.7418  0.0554  0.2948
C  0.2582  0.9446  0.7052
C  0.4367  0.0249  0.7482
C  0.5633  0.9751  0.2518
C  0.1473  0.4056  0.2764
C  0.8527  0.5944  0.7236
C  0.5649  0.4250  0.3665
C  0.4351  0.5750  0.6335
C  0.1710  0.1035  0.2951
C  0.8290  0.8965  0.7049
C  0.7750  0.1941  0.3547
C  0.2250  0.8059  0.6453
C  0.5193  0.3477  0.0363
C  0.4807  0.6523  0.9637
C  0.4494  0.3095  0.4822
C  0.5506  0.6905  0.5178
C  0.3349  0.4513  0.1010
C  0.6651  0.5487  0.8990
C  0.3387  0.4765  0.3187
C  0.6613  0.5235  0.6813
C  0.0786  0.2616  0.2230
C  0.9214  0.7384  0.7770
C  0.6958  0.0575  0.1548
C  0.3042  0.9425  0.8452
C  0.6718  0.3523  0.1367
C  0.3282  0.6477  0.8633
C  0.3818  0.4886  0.2391
C  0.6182  0.5114  0.7609
C  0.4306  0.4483  0.3830
C  0.5694  0.5517  0.6170
C  0.4916  0.0411  0.4620
C  0.5084  0.9589  0.5380
C  0.2757  0.2111  0.4671
C  0.7243  0.7889  0.5329
C  0.3535  0.1465  0.0288
C  0.6465  0.8535  0.9712
C  0.2445  0.2260  0.0375
C  0.7555  0.7740  0.9625
C  0.7184  0.3498  0.2765
C  0.2816  0.6502  0.7235
C  0.2556  0.1246  0.4295
C  0.7444  0.8754  0.5705
C  0.6009  0.0546  0.0937
C  0.3991  0.9454  0.9063
C  0.4332  0.2925  0.0069
C  0.5668  0.7075  0.9931
C  0.6714  0.9976  0.7910
C  0.3286  0.0024  0.2090
C  0.2817  0.0238  0.2861
C  0.7183  0.9762  0.7139
Cl  0.0368  0.9154  0.4328
Cl  0.9632  0.0846  0.5672
Cl  0.1544  0.4486  0.6306
Cl  0.8456  0.5514  0.3694
Cl  0.1605  0.4547  0.8268
Cl  0.8395  0.5453  0.1732
Cl  0.2906  0.7649  0.3474
Cl  0.7094  0.2351  0.6526
Cl  0.0453  0.8899  0.2372
Cl  0.9547  0.1101  0.7628
Cl  0.0649  0.6580  0.2589
Cl  0.9351  0.3419  0.7411
Cl  0.4045  0.3022  0.7352
Cl  0.5955  0.6978  0.2648
Cl  0.0361  0.8918  0.0397
Cl  0.9639  0.1082  0.9603
Cl  0.0810  0.6663  0.4592
Cl  0.9190  0.3337  0.5408
Cl  0.1717  0.2170  0.8455
Cl  0.8283  0.7830  0.1545
Cl  0.0693  0.6468  0.0557
Cl  0.9307  0.3532  0.9443
Cl  0.2892  0.7502  0.1428
Cl  0.7108  0.2498  0.8572
Cl  0.1678  0.2086  0.6506
Cl  0.8322  0.7914  0.3494

Calculated values
- DFT formation energy (eV per atom) = -0.083
- magnetic moment (μB/cell) = 0.00
- calculated volume (Å³/cell) = 2409.8